Run A
# CaEuAlBiO6

An optimized crystal structure of CaEuAlBiO6 (PBE, Materials Project).

abc: 5.7237 5.7237 5.7237
angles: 60.00 60.00 60.00
Fractional coordinates of all 10 atoms:
Ca  0.7500  0.7500  0.7500
O  0.2379  0.2379  0.7621
O  0.7621  0.2379  0.7621
O  0.7621  0.7621  0.2379
O  0.2379  0.7621  0.7621
O  0.2379  0.7621  0.2379
O  0.7621  0.2379  0.2379
Al  0.0000  0.0000  0.0000
Eu  0.2500  0.2500  0.2500
Bi  0.5000  0.5000  0.5000

V: 132.59 Å³/f.u.
Space group: F-43m

Run B
# CaEuAlBiO6

An optimized crystal structure of CaEuAlBiO6 (PBE, Materials Project).

abc: 8.7918 8.7492 8.5488
angles: 90.00 90.00 90.00
Fractional coordinates of all 40 atoms:
O  0.2239  0.2753  0.9822
O  0.5188  0.7221  0.7784
O  0.7222  0.9848  0.7820
O  0.2792  0.7755  0.4868
O  0.9831  0.2218  0.2759
O  0.7761  0.2753  0.0178
O  0.2792  0.2245  0.5132
O  0.2778  0.0152  0.7820
O  0.9831  0.7782  0.7241
O  0.7208  0.2245  0.4868
O  0.4812  0.7221  0.2216
O  0.7748  0.5185  0.7241
O  0.7748  0.4815  0.2759
O  0.7222  0.0152  0.2180
O  0.2252  0.5185  0.2759
O  0.4812  0.2779  0.7784
O  0.2252  0.4815  0.7241
O  0.2239  0.7247  0.0178
O  0.7208  0.7755  0.5132
O  0.2778  0.9848  0.2180
O  0.7761  0.7247  0.9822
O  0.5188  0.2779  0.2216
O  0.0169  0.2218  0.7241
O  0.0169  0.7782  0.2759
Al  0.2507  0.7542  0.2546
Al  0.7493  0.2458  0.2546
Al  0.7493  0.7542  0.7454
Al  0.2507  0.2458  0.7454
Ca  0.0000  0.0000  0.0000
Ca  0.0000  0.0000  0.5000
Ca  0.5000  0.5000  0.5000
Ca  0.5000  0.0000  0.5000
Eu  0.0000  0.5000  0.0000
Eu  0.5000  0.0000  0.0000
Eu  0.5000  0.5000  0.0000
Eu  0.0000  0.5000  0.5000
Bi  0.7502  0.2402  0.7389
Bi  0.2498  0.7598  0.7389
Bi  0.2498  0.2402  0.2611
Bi  0.7502  0.7598  0.2611

V: 164.40 Å³/f.u.
Space group: P222

Which of them is the least stable? Correct choice: run B.

Run A
# Mg14AlBi

An optimized crystal structure of Mg14AlBi (PBE, Materials Project).

abc: 6.4264 6.4264 10.3767
angles: 90.00 90.00 120.00
Fractional coordinates of all 16 atoms:
Mg  0.3351  0.6703  0.8806
Mg  0.3351  0.6703  0.3694
Mg  0.3351  0.1649  0.8806
Mg  0.8297  0.1649  0.8806
Mg  0.6670  0.3340  0.6250
Mg  0.6669  0.3338  0.1250
Mg  0.8333  0.6667  0.8743
Mg  0.6669  0.8331  0.1250
Mg  0.6670  0.8330  0.6250
Mg  0.1660  0.8330  0.6250
Mg  0.3351  0.1649  0.3694
Mg  0.1662  0.8331  0.1250
Mg  0.8333  0.6667  0.3757
Mg  0.8297  0.1649  0.3694
Al  0.1667  0.3333  0.1250
Bi  0.1667  0.3333  0.6250

V: 371.14 Å³/f.u.
Space group: P-6m2

Run B
# Mg14AlBi

An optimized crystal structure of Mg14AlBi (PBE, Materials Project).

abc: 6.3407 6.6307 10.3691
angles: 90.00 90.00 121.53
Fractional coordinates of all 16 atoms:
Mg  0.6675  0.3333  0.6250
Mg  0.3324  0.6584  0.8743
Mg  0.1688  0.3344  0.6250
Mg  0.8371  0.1685  0.8788
Mg  0.6690  0.8349  0.1250
Mg  0.8371  0.1685  0.3712
Mg  0.3324  0.1740  0.8743
Mg  0.8289  0.6645  0.8694
Mg  0.1698  0.8349  0.6250
Mg  0.3324  0.6584  0.3757
Mg  0.8289  0.6645  0.3806
Mg  0.3324  0.1740  0.3757
Mg  0.6690  0.3341  0.1250
Mg  0.6675  0.8342  0.6250
Al  0.1636  0.3318  0.1250
Bi  0.1633  0.8316  0.1250

V: 371.61 Å³/f.u.
Space group: Amm2

Which of them is the least stable? Correct choice: run B.

Run A
# AlBi3O9

An optimized crystal structure of AlBi3O9 (PBE, Materials Project).

abc: 5.7939 5.7939 13.2846
angles: 86.06 86.06 54.35
Fractional coordinates of all 26 atoms:
O  0.9421  0.3253  0.9026
O  0.5053  0.8466  0.8069
O  0.1163  0.5432  0.4485
O  0.8956  0.6658  0.0548
O  0.8466  0.5053  0.3069
O  0.4194  0.7279  0.0138
O  0.7290  0.0204  0.3697
O  0.2014  0.8310  0.6323
O  0.7279  0.4194  0.5138
O  0.5432  0.1163  0.9485
O  0.2782  0.6414  0.2328
O  0.3859  0.0805  0.1841
O  0.0805  0.3859  0.6841
O  0.6658  0.8956  0.5548
O  0.3253  0.9421  0.4026
O  0.8310  0.2014  0.1323
O  0.0204  0.7290  0.8697
O  0.6414  0.2782  0.7328
Bi  0.6192  0.6388  0.1659
Bi  0.6388  0.6192  0.6659
Bi  0.3079  0.3033  0.3142
Bi  0.9939  0.9657  0.4959
Bi  0.3033  0.3079  0.8142
Bi  0.9657  0.9939  0.9959
Al  0.7055  0.7178  0.9297
Al  0.7178  0.7055  0.4297

V: 180.65 Å³/f.u.
Space group: Cc

Run B
# AlBi3O9

An optimized crystal structure of AlBi3O9 (PBE, Materials Project).

abc: 3.6003 3.6003 12.5226
angles: 90.00 90.00 90.00
Fractional coordinates of all 13 atoms:
O  0.5000  0.0000  0.0000
O  0.5000  0.5000  0.8450
O  0.0000  0.5000  0.0000
O  0.5000  0.5000  0.5000
O  0.5000  0.5000  0.1550
O  0.5000  0.0000  0.3413
O  0.0000  0.5000  0.6587
O  0.0000  0.5000  0.3413
O  0.5000  0.0000  0.6587
Al  0.5000  0.5000  0.0000
Bi  0.0000  0.0000  0.2182
Bi  0.0000  0.0000  0.7818
Bi  0.0000  0.0000  0.5000

V: 162.32 Å³/f.u.
Space group: P4/mmm

Which of them is the least stable? Correct choice: run B.

Run A
# Al2Bi3O9

An optimized crystal structure of Al2Bi3O9 (PBE, Materials Project).

abc: 5.7538 5.7538 13.9191
angles: 86.72 86.72 54.44
Fractional coordinates of all 28 atoms:
Bi  0.3336  0.3033  0.8470
Bi  0.6609  0.6516  0.6509
Bi  0.9800  0.9739  0.4862
Bi  0.3033  0.3336  0.3470
Bi  0.9739  0.9800  0.9862
Bi  0.6516  0.6609  0.1509
O  0.8796  0.4436  0.2759
O  0.7936  0.0120  0.3453
O  0.1424  0.5192  0.5007
O  0.1981  0.7857  0.6453
O  0.4395  0.6398  0.0319
O  0.6640  0.2768  0.7122
O  0.0120  0.7936  0.8453
O  0.5192  0.1424  0.0007
O  0.2768  0.6640  0.2122
O  0.0046  0.5897  0.0642
O  0.5897  0.0046  0.5642
O  0.3565  0.1017  0.1859
O  0.9738  0.2606  0.8672
O  0.2606  0.9738  0.3672
O  0.1017  0.3565  0.6859
O  0.7857  0.1981  0.1453
O  0.4436  0.8796  0.7759
O  0.6398  0.4395  0.5319
Al  0.0288  0.0497  0.2568
Al  0.0497  0.0288  0.7568
Al  0.3803  0.3744  0.1076
Al  0.3744  0.3803  0.6076

V: 187.04 Å³/f.u.
Space group: Cc

Run B
# Al2Bi3O9

An optimized crystal structure of Al2Bi3O9 (PBE, Materials Project).

abc: 3.6375 3.6375 12.6685
angles: 90.00 90.00 90.00
Fractional coordinates of all 14 atoms:
O  0.5000  0.0000  0.6499
O  0.0000  0.5000  0.6499
O  0.5000  0.5000  0.5000
O  0.5000  0.5000  0.1850
O  0.5000  0.0000  0.3501
O  0.5000  0.0000  0.0000
O  0.0000  0.5000  0.0000
O  0.0000  0.5000  0.3501
O  0.5000  0.5000  0.8150
Al  0.5000  0.5000  0.3336
Al  0.5000  0.5000  0.6664
Bi  0.0000  0.0000  0.1308
Bi  0.0000  0.0000  0.8692
Bi  0.0000  0.0000  0.5000

V: 167.62 Å³/f.u.
Space group: P4/mmm

Which of them is the least stable? Correct choice: run B.

Run A
# Al5Bi3S12

An optimized crystal structure of Al5Bi3S12 (PBE, Materials Project).

abc: 7.5978 7.5978 36.1834
angles: 90.00 90.00 90.00
Fractional coordinates of all 80 atoms:
Bi  0.0000  0.5000  0.5385
Bi  0.0000  0.5000  0.8730
Bi  0.0000  0.5000  0.9615
Bi  0.5000  0.0000  0.7928
Bi  0.0000  0.5000  0.6270
Bi  0.5000  0.0000  0.0385
Bi  0.5000  0.0000  0.3730
Bi  0.5000  0.0000  0.7072
Bi  0.0000  0.5000  0.2928
Bi  0.5000  0.0000  0.1270
Bi  0.5000  0.0000  0.4615
Bi  0.0000  0.5000  0.2072
S  0.3421  0.3390  0.1248
S  0.3421  0.6610  0.3752
S  0.6700  0.6502  0.2933
S  0.1589  0.8387  0.2917
S  0.8333  0.8463  0.0428
S  0.8387  0.8411  0.7083
S  0.8398  0.8411  0.3748
S  0.1613  0.1589  0.7083
S  0.8411  0.1613  0.2917
S  0.3410  0.3389  0.4584
S  0.3498  0.3300  0.7933
S  0.6611  0.3410  0.5416
S  0.6590  0.6611  0.4584
S  0.1667  0.1537  0.0428
S  0.8411  0.1602  0.6252
S  0.6700  0.3498  0.2067
S  0.3300  0.3498  0.2933
S  0.6502  0.6700  0.7933
S  0.3389  0.6590  0.5416
S  0.3389  0.3410  0.9584
S  0.1667  0.8463  0.4572
S  0.6610  0.6579  0.6248
S  0.8398  0.1589  0.1252
S  0.6610  0.3421  0.8752
S  0.1602  0.1589  0.3748
S  0.3410  0.6611  0.0416
S  0.6579  0.3390  0.3752
S  0.3300  0.6502  0.2067
S  0.1602  0.8411  0.1252
S  0.8411  0.8387  0.2083
S  0.1589  0.8398  0.6252
S  0.6611  0.6590  0.9584
S  0.6590  0.3389  0.0416
S  0.8333  0.1537  0.4572
S  0.6579  0.6610  0.1248
S  0.8387  0.1589  0.7917
S  0.1589  0.1602  0.8748
S  0.3390  0.3421  0.6248
S  0.8463  0.8333  0.5428
S  0.6502  0.3300  0.7067
S  0.1537  0.1667  0.5428
S  0.1589  0.1613  0.2083
S  0.1613  0.8411  0.7917
S  0.3498  0.6700  0.7067
S  0.1537  0.8333  0.9572
S  0.8463  0.1667  0.9572
S  0.8411  0.8398  0.8748
S  0.3390  0.6579  0.8752
Al  0.0000  0.0000  0.3333
Al  0.5000  0.5000  0.0000
Al  0.5000  0.5000  0.1673
Al  0.0000  0.0000  0.9177
Al  0.5000  0.5000  0.5000
Al  0.5000  0.5000  0.9169
Al  0.0000  0.0000  0.7500
Al  0.5000  0.5000  0.6673
Al  0.0000  0.0000  0.1667
Al  0.5000  0.5000  0.8327
Al  0.0000  0.0000  0.8333
Al  0.0000  0.0000  0.6667
Al  0.5000  0.5000  0.3327
Al  0.5000  0.5000  0.5831
Al  0.0000  0.0000  0.2500
Al  0.5000  0.5000  0.4169
Al  0.0000  0.0000  0.5823
Al  0.5000  0.5000  0.0831
Al  0.0000  0.0000  0.4177
Al  0.0000  0.0000  0.0823

V: 522.18 Å³/f.u.
Space group: P-42c

Run B
# Al5Bi3S12

An optimized crystal structure of Al5Bi3S12 (PBE, Materials Project).

abc: 7.2647 7.2648 36.0718
angles: 90.00 90.00 90.39
Fractional coordinates of all 80 atoms:
S  0.6044  0.0753  0.2963
S  0.5773  0.0385  0.9684
S  0.0205  0.6022  0.2118
S  0.9617  0.4226  0.4685
S  0.4164  0.5500  0.1272
S  0.8955  0.4246  0.2963
S  0.0890  0.5877  0.0478
S  0.9155  0.4184  0.1273
S  0.5844  0.0816  0.1273
S  0.9657  0.1029  0.3754
S  0.5343  0.3971  0.3754
S  0.0834  0.9499  0.1272
S  0.4123  0.9109  0.5478
S  0.9031  0.0739  0.5410
S  0.4194  0.5951  0.7873
S  0.9185  0.4154  0.6273
S  0.5815  0.0846  0.6273
S  0.4501  0.5837  0.6273
S  0.9252  0.0925  0.2093
S  0.5383  0.0774  0.4685
S  0.0878  0.5891  0.5478
S  0.3980  0.9792  0.7117
S  0.9260  0.0969  0.0409
S  0.5740  0.4031  0.0409
S  0.5747  0.4074  0.2093
S  0.0806  0.9049  0.7873
S  0.4798  0.8976  0.2118
S  0.4192  0.9154  0.8723
S  0.9249  0.3953  0.7963
S  0.0846  0.5809  0.3723
S  0.1019  0.5209  0.7117
S  0.9076  0.0749  0.7094
S  0.4154  0.9191  0.3723
S  0.5969  0.4261  0.5410
S  0.4047  0.5804  0.2873
S  0.4219  0.5925  0.4587
S  0.5924  0.4251  0.7094
S  0.0925  0.9219  0.9587
S  0.9226  0.4615  0.9684
S  0.0499  0.9163  0.6273
S  0.6030  0.4658  0.8754
S  0.0808  0.5846  0.8723
S  0.5751  0.1047  0.7963
S  0.4109  0.9123  0.0478
S  0.0953  0.9196  0.2873
S  0.0782  0.9075  0.4587
S  0.4075  0.5781  0.9587
S  0.8970  0.0342  0.8754
Al  0.7500  0.2500  0.4950
Al  0.7500  0.2500  0.3436
Al  0.2500  0.7500  0.7436
Al  0.2500  0.7500  0.5013
Al  0.2500  0.7500  0.3318
Al  0.2501  0.7500  0.2437
Al  0.7500  0.2500  0.7532
Al  0.7499  0.2500  0.1689
Al  0.7500  0.2500  0.6689
Al  0.7500  0.2500  0.9949
Al  0.2499  0.7500  0.0913
Al  0.2500  0.7500  0.8318
Al  0.7500  0.2500  0.5820
Al  0.7500  0.2500  0.8437
Al  0.7500  0.2499  0.0819
Al  0.2500  0.7500  0.5914
Al  0.2500  0.7500  0.9160
Al  0.2500  0.7500  0.4160
Al  0.2500  0.7500  0.0012
Al  0.7499  0.2499  0.2531
Bi  0.2499  0.2505  0.1640
Bi  0.7500  0.7500  0.9414
Bi  0.2500  0.2500  0.7684
Bi  0.2500  0.2500  0.0655
Bi  0.2500  0.2500  0.4414
Bi  0.7500  0.7500  0.8406
Bi  0.7500  0.7500  0.6644
Bi  0.2500  0.2500  0.6639
Bi  0.7506  0.7503  0.1641
Bi  0.7500  0.7500  0.5657
Bi  0.2500  0.2500  0.3407
Bi  0.7498  0.7500  0.2685

V: 475.92 Å³/f.u.
Space group: P1

Which of them is the least stable? Correct choice: run A.